[1]
Density functional theory data (GGA+U) for an optimized crystal structure of Sm4MgV4O12.

Cell: 5.8898 5.8425 7.8281 Å, 91.68 89.14 96.19°
Fractional positions:
O 0.4451 0.6296 0.7559
O 0.6054 0.4620 0.2454
O 0.8857 0.9432 0.2483
O 0.8274 0.6901 0.5566
O 0.7016 0.2260 0.5384
O 0.3184 0.8266 0.4404
O 0.0492 0.0416 0.7540
O 0.8390 0.6506 0.9665
O 0.3042 0.7921 0.0821
O 0.1974 0.3323 0.0385
O 0.2176 0.3316 0.4886
O 0.6699 0.1437 0.9177
V 0.0392 0.9975 0.0192
V 0.4916 0.5183 0.0056
V 0.5171 0.5305 0.4926
V 0.9903 0.0180 0.4874
Sm 0.0301 0.5769 0.2545
Sm 0.9788 0.4155 0.7524
Sm 0.4075 0.0413 0.6871
Sm 0.5355 0.0562 0.2328
Mg 0.7585 0.8389 0.7861

Values from the calculation:
The value obtained for the formation energy is -2.922 eV per atom. Its space group is No. 1. As for the energy above the most stable polymorph in this dataset: 49.2 meV/atom.


[2]
Density functional theory data (GGA+U) for an optimized crystal structure of SrMgSnWO6.

Cell: 5.6748 5.6748 5.6748 Å, 60.00 60.00 60.00°
Fractional positions:
O 0.7426 0.2574 0.2574
O 0.2574 0.2574 0.7426
O 0.7426 0.7426 0.2574
O 0.7426 0.2574 0.7426
O 0.2574 0.7426 0.2574
O 0.2574 0.7426 0.7426
Sn 0.2500 0.2500 0.2500
Mg 0.0000 0.0000 0.0000
W 0.5000 0.5000 0.5000
Sr 0.7500 0.7500 0.7500

Values from the calculation:
The value obtained for the formation energy is -2.506 eV per atom. Its space group is No. 216.


[3]
Density functional theory data (GGA+U) for an optimized crystal structure of Mg14VSnO16.

Cell: 8.6891 8.6891 4.3718 Å, 90.00 90.00 90.00°
Fractional positions:
O 0.2500 0.7500 0.5000
O 0.0000 0.2513 0.0000
O 0.0000 0.0000 0.5000
O 0.5000 0.7715 0.0000
O 0.2285 0.5000 0.0000
O 0.7487 0.0000 0.0000
O 0.5000 0.2285 0.0000
O 0.0000 0.7487 0.0000
O 0.7715 0.5000 0.0000
O 0.5000 0.5000 0.5000
O 0.7500 0.7500 0.5000
O 0.2513 0.0000 0.0000
O 0.5000 0.0000 0.5000
O 0.0000 0.5000 0.5000
O 0.7500 0.2500 0.5000
O 0.2500 0.2500 0.5000
Mg 0.2408 0.5000 0.5000
Mg 0.5000 0.2408 0.5000
Mg 0.7592 0.5000 0.5000
Mg 0.7541 0.2459 0.0000
Mg 0.5000 0.0000 0.0000
Mg 0.5000 0.7592 0.5000
Mg 0.2459 0.2459 0.0000
Mg 0.2499 0.0000 0.5000
Mg 0.2459 0.7541 0.0000
Mg 0.0000 0.2499 0.5000
Mg 0.0000 0.7501 0.5000
Mg 0.0000 0.5000 0.0000
Mg 0.7501 0.0000 0.5000
Mg 0.7541 0.7541 0.0000
Sn 0.5000 0.5000 0.0000
V 0.0000 0.0000 0.0000

Values from the calculation:
The value obtained for the formation energy is -2.793 eV per atom. Its space group is No. 123. As for the energy above the most stable polymorph in this dataset: 0.0 meV/atom.


[4]
Density functional theory data (GGA+U) for an optimized crystal structure of MgVSnO4.

Cell: 3.1501 6.3799 6.3866 Å, 117.43 59.14 120.90°
Fractional positions:
O 0.4626 0.7902 0.8292
O 0.6758 0.3308 0.6680
O 0.2838 0.6555 0.3490
O 0.4666 0.1742 0.2095
Mg 0.0758 0.7965 0.2074
Sn 0.1934 0.0930 0.9070
V 0.4568 0.4774 0.5241

Values from the calculation:
The value obtained for the formation energy is -2.150 eV per atom. Its space group is No. 1. As for the energy above the most stable polymorph in this dataset: 87.1 meV/atom.


[5]
Density functional theory data (GGA+U) for an optimized crystal structure of MgVSnO4.

Cell: 3.1421 6.3304 6.3230 Å, 92.62 60.24 119.78°
Fractional positions:
Mg 0.0008 0.6962 0.6950
O 0.3813 0.7019 0.3199
O 0.5011 0.8429 0.8413
O 0.6220 0.3220 0.6990
O 0.5016 0.1862 0.1836
Sn 0.0012 0.0318 0.0294
V 0.5026 0.4296 0.4260

Values from the calculation:
The value obtained for the formation energy is -2.090 eV per atom. Its space group is No. 6. As for the energy above the most stable polymorph in this dataset: 147.0 meV/atom.


[6]
Density functional theory data (GGA+U) for an optimized crystal structure of MgVSnO4.

Cell: 3.1193 6.0939 6.0793 Å, 104.30 59.13 120.80°
Fractional positions:
O 0.5430 0.2324 0.6502
O 0.4975 0.2074 0.1703
O 0.4277 0.7949 0.8274
O 0.3832 0.7699 0.3475
Mg 0.9622 0.0012 0.4989
V 0.4636 0.5012 0.4988
Sn 0.9625 0.0012 0.9988

Values from the calculation:
The value obtained for the formation energy is -2.237 eV per atom. Its space group is No. 10. As for the energy above the most stable polymorph in this dataset: 0.0 meV/atom.